# Os3C9Se2O9 | the Materials Project | GGA-PBE | relaxed
data_Os3C9Se2O9
_chemical_formula_sum 'Os6 C18 Se4 O18'
_space_group_name_H-M_alt 'P -1'
_space_group_IT_number 2
_space_group_name_Hall '-P 1'
_cell_length_a 6.906
_cell_length_b 9.757
_cell_length_c 13.702
_cell_angle_alpha 94.24
_cell_angle_beta 95.72
_cell_angle_gamma 110.42
loop_
_atom_site_label
_atom_site_type_symbol
_atom_site_fract_x
_atom_site_fract_y
_atom_site_fract_z
Os1 Os 0.068 0.234 0.344
Os2 Os 0.218 0.306 0.157
Os3 Os 0.392 0.607 0.258
C1 C 0.010 0.874 0.888
C2 C 0.059 0.306 0.475
C3 C 0.137 0.067 0.379
C4 C 0.214 0.412 0.045
C5 C 0.223 0.883 0.684
C6 C 0.312 0.733 0.175
C7 C 0.324 0.308 0.766
C8 C 0.418 0.229 0.114
C9 C 0.428 0.725 0.378
Se1 Se 0.010 0.437 0.251
Se2 Se 0.445 0.384 0.327
O1 O 0.060 0.355 0.555
O2 O 0.147 0.983 0.918
O3 O 0.152 0.253 0.780
O4 O 0.171 0.965 0.400
O5 O 0.208 0.474 0.976
O6 O 0.262 0.808 0.124
O7 O 0.401 0.953 0.701
O8 O 0.452 0.793 0.455
O9 O 0.459 0.816 0.911
# energy relative to the elements = -21.51 kcal/mol of atoms
# total energy = -367.07 eV for the cell shown